DFT (PBE+U) results for an optimized crystal structure of Mg14CrNiO16.

Properties
total DFT energy (no corrections): -6.011 eV/atom
energy of formation: -2.840 eV per atom
mass density: 3.78 Mg/m³

Cell and atoms, written as POSCAR:
```
Mg14CrNiO16
1.0
8.4985 0.0000 0.0000
0.0000 8.4985 0.0000
0.0000 0.0000 4.3054
Mg O Ni Cr
14 16 1 1
Direct
0.0000 0.2473 0.5000
0.0000 0.5000 0.0000
0.2488 0.5000 0.5000
0.7529 0.2471 0.0000
0.2471 0.2471 0.0000
0.2473 0.0000 0.5000
0.5000 0.7512 0.5000
0.2471 0.7529 0.0000
0.7527 0.0000 0.5000
0.5000 0.0000 0.0000
0.0000 0.7527 0.5000
0.7529 0.7529 0.0000
0.5000 0.2488 0.5000
0.7512 0.5000 0.5000
0.2514 0.5000 0.0000
0.5000 0.5000 0.5000
0.7495 0.7495 0.5000
0.2505 0.7495 0.5000
0.7486 0.5000 0.0000
0.7495 0.2505 0.5000
0.5000 0.2514 0.0000
0.0000 0.7447 0.0000
0.2505 0.2505 0.5000
0.0000 0.0000 0.5000
0.0000 0.5000 0.5000
0.2553 0.0000 0.0000
0.7447 0.0000 0.0000
0.5000 0.0000 0.5000
0.5000 0.7486 0.0000
0.0000 0.2553 0.0000
0.0000 0.0000 0.0000
0.5000 0.5000 0.0000
```

DFT (PBE+U) results for an optimized crystal structure of Li2V3CrO8.

Properties
relative energy among the computed polymorphs: 31 meV per atom
total DFT energy (no corrections): -7.293 eV/atom
energy of formation: -2.456 eV per atom
mass density: 3.90 Mg/m³

Cell and atoms, written as POSCAR:
```
Li2V3CrO8
1.0
5.2033 -2.9447 0.0000
5.2033 2.9447 0.0000
3.5368 0.0000 4.8205
O V Cr Li
8 3 1 2
Direct
0.7407 0.7407 0.2846
0.2593 0.7154 0.2593
0.7390 0.7390 0.7390
0.2593 0.2593 0.7154
0.7154 0.2593 0.2593
0.7407 0.2846 0.7407
0.2610 0.2610 0.2610
0.2846 0.7407 0.7407
0.5000 0.0000 0.5000
0.5000 0.5000 0.0000
0.0000 0.5000 0.5000
0.5000 0.5000 0.5000
0.8755 0.8755 0.8755
0.1245 0.1245 0.1245
```

DFT (PBE+U) results for an optimized crystal structure of Li3Cr2P3O12.

Properties
relative energy among the computed polymorphs: 36 meV per atom
total DFT energy (no corrections): -7.052 eV/atom
energy of formation: -2.632 eV per atom
mass density: 3.04 Mg/m³

Cell and atoms, written as POSCAR:
```
Li3Cr2P3O12
1.0
-1.2365 2.0798 8.3597
7.6144 -3.0793 1.8924
5.3634 10.8068 -1.8953
O Li P Cr
48 12 12 8
Direct
0.1905 0.3781 0.3139
0.5882 0.2526 0.4921
0.4118 0.2526 0.9921
0.3241 0.6543 0.9129
0.4084 0.2530 0.7895
0.8197 0.8585 0.0938
0.3970 0.4295 0.1618
0.0572 0.2526 0.5167
0.6030 0.5705 0.8382
0.9043 0.2688 0.2121
0.8095 0.3781 0.8139
0.0911 0.0679 0.3378
0.4084 0.7470 0.7105
0.9089 0.0679 0.8378
0.6759 0.3457 0.0871
0.4185 0.0148 0.6089
0.5815 0.9852 0.3911
0.9089 0.9321 0.6622
0.0957 0.2688 0.7121
0.9043 0.7312 0.2879
0.4118 0.7474 0.5079
0.6030 0.4295 0.6618
0.8916 0.4715 0.4069
0.1084 0.5285 0.5931
0.1905 0.6219 0.1861
0.1084 0.4715 0.9069
0.2955 0.1285 0.1875
0.5916 0.7470 0.2105
0.2955 0.8715 0.3125
0.5815 0.0148 0.1089
0.5916 0.2530 0.2895
0.0572 0.7474 0.9833
0.8095 0.6219 0.6861
0.1803 0.1415 0.9062
0.0957 0.7312 0.7879
0.0911 0.9321 0.1622
0.4185 0.9852 0.8911
0.7045 0.1285 0.6875
0.8916 0.5285 0.0931
0.3970 0.5705 0.3382
0.8197 0.1415 0.4062
0.1803 0.8585 0.5938
0.3241 0.3457 0.5871
0.9428 0.2526 0.0167
0.9428 0.7474 0.4833
0.6759 0.6543 0.4129
0.7045 0.8715 0.8125
0.5882 0.7474 0.0079
0.0000 0.0000 0.5000
0.1909 0.7135 0.4483
0.4010 0.5000 0.7500
0.5990 0.5000 0.2500
0.5000 0.5000 0.0000
0.8091 0.7135 0.9483
0.1909 0.2865 0.0517
0.8952 0.0000 0.2500
0.0000 0.0000 0.0000
0.1048 0.0000 0.7500
0.8091 0.2865 0.5517
0.5000 0.5000 0.5000
0.3602 0.1541 0.8930
0.8531 0.6500 0.3973
0.7125 0.5000 0.7500
0.2875 0.5000 0.2500
0.2024 0.0000 0.2500
0.1469 0.3500 0.6027
0.6398 0.8459 0.1070
0.3602 0.8459 0.6070
0.1469 0.6500 0.8973
0.8531 0.3500 0.1027
0.6398 0.1541 0.3930
0.7976 0.0000 0.7500
0.9992 0.2815 0.3581
0.5026 0.7824 0.8562
0.0008 0.7185 0.6419
0.4974 0.7824 0.3562
0.5026 0.2176 0.6438
0.9992 0.7185 0.1419
0.4974 0.2176 0.1438
0.0008 0.2815 0.8581
```

DFT (PBE+U) results for an optimized crystal structure of Li3Mn3CrO8.

Properties
relative energy among the computed polymorphs: 89 meV per atom
total DFT energy (no corrections): -6.695 eV/atom
energy of formation: -2.032 eV per atom
mass density: 4.61 Mg/m³

Cell and atoms, written as POSCAR:
```
Li3Mn3CrO8
1.0
-5.0652 1.8325 -1.8273
4.3463 -0.4581 -3.6406
-2.5241 -8.8689 -1.8974
O Li Cr Mn
16 6 2 6
Direct
0.3176 0.1617 0.0940
0.3315 0.6685 0.1014
0.5166 0.0316 0.8416
0.0316 0.5166 0.3416
0.4834 0.9684 0.3416
0.6685 0.3315 0.6014
0.8383 0.6824 0.0940
0.4841 0.5159 0.3400
0.1632 0.8368 0.5956
0.0010 0.9990 0.8237
0.9684 0.4834 0.8416
0.8368 0.1632 0.0956
0.5159 0.4841 0.8400
0.6824 0.8383 0.5940
0.1617 0.3176 0.5940
0.9990 0.0010 0.3237
0.6490 0.8258 0.9457
0.8258 0.6490 0.4457
0.3510 0.1742 0.4457
0.1742 0.3510 0.9457
0.1651 0.8349 0.9476
0.8349 0.1651 0.4476
0.3354 0.6646 0.4891
0.6646 0.3354 0.9891
0.1672 0.8328 0.2141
0.3389 0.1666 0.7140
0.1666 0.3389 0.2140
0.8328 0.1672 0.7141
0.8334 0.6611 0.7140
0.6611 0.8334 0.2140
```